## Hg (meta-GGA r2SCAN)

Data for a relaxed structure of Hg.

Values from the calculation:
As for the space-group type: Fm-3m. For the total energy, the calculation gives -49.3 eV for the cell shown. The formation energy is 0.023 eV per atom. The energy above the most stable polymorph in this dataset comes out at 0.023 eV/atom. The volume comes out at 27.369 A^3/atom.

Cell and atoms, written as POSCAR:
```
Hg
1.0
-1.563 1.097 -2.792
1.254 -0.759 -3.049
-1.626 -2.191 -2.000
Hg
1
direct
0.000 0.000 0.000 Hg
```

***

## Sr2SnS5 (meta-GGA r2SCAN)

Data for a relaxed structure of Sr2SnS5.

Values from the calculation:
As for the space-group type: P2_12_12. For the total energy, the calculation gives -426.4 eV for the cell shown. The formation energy is -1.424 eV per atom. The volume comes out at 23.885 A^3/atom.

Cell and atoms, written as POSCAR:
```
Sr2SnS5
1.0
0.000 0.000 4.104
11.779 0.000 0.000
0.000 15.812 0.000
Sr Sn S
8 4 20
direct
0.975 0.748 0.429 Sr
0.975 0.252 0.571 Sr
0.025 0.248 0.071 Sr
0.025 0.752 0.929 Sr
0.010 0.877 0.178 Sr
0.010 0.123 0.822 Sr
0.990 0.377 0.322 Sr
0.990 0.623 0.678 Sr
0.551 0.063 0.369 Sn
0.551 0.937 0.631 Sn
0.449 0.563 0.131 Sn
0.449 0.437 0.869 Sn
0.487 0.551 0.397 S
0.487 0.449 0.603 S
0.513 0.051 0.103 S
0.513 0.949 0.897 S
0.106 0.500 0.000 S
0.894 0.000 0.500 S
0.483 0.866 0.322 S
0.483 0.134 0.678 S
0.517 0.366 0.178 S
0.517 0.634 0.822 S
0.996 0.614 0.227 S
0.996 0.386 0.773 S
0.004 0.114 0.273 S
0.004 0.886 0.727 S
0.468 0.250 0.431 S
0.468 0.750 0.569 S
0.532 0.750 0.069 S
0.532 0.250 0.931 S
0.763 0.500 0.500 S
0.237 0.000 0.000 S
```

***

## Ta2Mo2O11 (meta-GGA r2SCAN)

Data for a relaxed structure of Ta2Mo2O11.

Values from the calculation:
As for the space-group type: R-3m. For the total energy, the calculation gives -253.6 eV for the cell shown. The formation energy is -2.575 eV per atom. The volume comes out at 15.780 A^3/atom.

Cell and atoms, written as POSCAR:
```
Ta2Mo2O11
1.0
8.720 -2.824 0.000
8.720 2.824 0.000
7.805 0.000 4.805
Ta Mo O
2 2 11
direct
0.372 0.372 0.372 Ta
0.628 0.628 0.628 Ta
0.113 0.113 0.113 Mo
0.887 0.887 0.887 Mo
0.740 0.254 0.740 O
0.254 0.740 0.740 O
0.740 0.740 0.254 O
0.746 0.260 0.260 O
0.260 0.746 0.260 O
0.260 0.260 0.746 O
0.179 0.179 0.179 O
0.821 0.821 0.821 O
0.500 0.500 0.000 O
0.500 0.000 0.500 O
0.000 0.500 0.500 O
```

***

## K2SO4 (meta-GGA r2SCAN)

Data for a relaxed structure of K2SO4.

Values from the calculation:
As for the space-group type: Pnma. For the total energy, the calculation gives -233.6 eV for the cell shown. The formation energy is -2.062 eV per atom. The energy above the most stable polymorph in this dataset comes out at 0.000 eV/atom. The volume comes out at 15.246 A^3/atom.

Cell and atoms, written as POSCAR:
```
K2SO4
1.0
5.737 0.000 0.000
0.000 7.430 0.000
0.000 0.000 10.016
K S O
8 4 16
direct
0.750 0.009 0.703 K
0.250 0.991 0.297 K
0.750 0.509 0.797 K
0.250 0.491 0.203 K
0.250 0.670 0.588 K
0.750 0.330 0.412 K
0.250 0.170 0.912 K
0.750 0.830 0.088 K
0.250 0.232 0.581 S
0.750 0.768 0.419 S
0.250 0.732 0.919 S
0.750 0.268 0.081 S
0.539 0.701 0.350 O
0.039 0.299 0.650 O
0.961 0.201 0.150 O
0.461 0.799 0.850 O
0.461 0.299 0.650 O
0.961 0.701 0.350 O
0.039 0.799 0.850 O
0.539 0.201 0.150 O
0.250 0.302 0.442 O
0.750 0.698 0.558 O
0.250 0.802 0.058 O
0.750 0.198 0.942 O
0.750 0.467 0.081 O
0.250 0.533 0.919 O
0.750 0.967 0.419 O
0.250 0.033 0.581 O
```

***

## KNaH12CO9 (meta-GGA r2SCAN)

Data for a relaxed structure of KNaH12CO9.

Values from the calculation:
As for the space-group type: P2_1/c. For the total energy, the calculation gives -580.3 eV for the cell shown. The formation energy is -1.263 eV per atom. The volume comes out at 9.440 A^3/atom.

Cell and atoms, written as POSCAR:
```
KNaH12CO9
1.0
-1.592 6.717 4.982
-5.980 -6.765 7.210
8.876 -6.715 1.062
K Na H C O
4 4 48 4 36
direct
0.977 0.593 0.838 K
0.023 0.093 0.662 K
0.023 0.407 0.162 K
0.977 0.907 0.338 K
0.812 0.588 0.382 Na
0.188 0.088 0.118 Na
0.188 0.412 0.618 Na
0.812 0.912 0.882 Na
0.610 0.600 0.538 H
0.390 0.100 0.962 H
0.390 0.400 0.462 H
0.610 0.900 0.038 H
0.681 0.478 0.531 H
0.319 0.978 0.969 H
0.319 0.522 0.469 H
0.681 0.022 0.031 H
0.336 0.563 0.155 H
0.664 0.063 0.345 H
0.664 0.437 0.845 H
0.336 0.937 0.655 H
0.222 0.646 0.193 H
0.778 0.146 0.307 H
0.778 0.354 0.807 H
0.222 0.854 0.693 H
0.620 0.795 0.362 H
0.380 0.295 0.138 H
0.380 0.205 0.638 H
0.620 0.705 0.862 H
0.580 0.795 0.207 H
0.420 0.295 0.293 H
0.420 0.205 0.793 H
0.580 0.705 0.707 H
0.831 0.341 0.339 H
0.169 0.841 0.161 H
0.169 0.659 0.661 H
0.831 0.159 0.839 H
0.779 0.356 0.451 H
0.221 0.856 0.049 H
0.221 0.644 0.549 H
0.779 0.144 0.951 H
0.791 0.659 0.130 H
0.209 0.159 0.370 H
0.209 0.341 0.870 H
0.791 0.841 0.630 H
0.014 0.670 0.246 H
0.986 0.170 0.254 H
0.986 0.330 0.754 H
0.014 0.830 0.746 H
0.534 0.581 0.095 H
0.466 0.081 0.405 H
0.466 0.419 0.905 H
0.534 0.919 0.595 H
0.527 0.449 0.126 H
0.473 0.949 0.374 H
0.473 0.551 0.874 H
0.527 0.051 0.626 H
0.379 0.749 0.930 C
0.621 0.249 0.570 C
0.621 0.251 0.070 C
0.379 0.751 0.430 C
0.408 0.831 0.021 O
0.592 0.331 0.479 O
0.592 0.169 0.979 O
0.408 0.669 0.521 O
0.216 0.740 0.808 O
0.784 0.240 0.692 O
0.784 0.260 0.192 O
0.216 0.760 0.308 O
0.517 0.679 0.965 O
0.483 0.179 0.535 O
0.483 0.321 0.035 O
0.517 0.821 0.465 O
0.716 0.560 0.544 O
0.284 0.060 0.956 O
0.284 0.440 0.456 O
0.716 0.940 0.044 O
0.208 0.583 0.130 O
0.792 0.083 0.370 O
0.792 0.417 0.870 O
0.208 0.917 0.630 O
0.678 0.778 0.310 O
0.322 0.278 0.190 O
0.322 0.222 0.690 O
0.678 0.722 0.810 O
0.871 0.380 0.430 O
0.129 0.880 0.070 O
0.129 0.620 0.570 O
0.871 0.120 0.930 O
0.902 0.621 0.213 O
0.098 0.121 0.287 O
0.098 0.379 0.787 O
0.902 0.879 0.713 O
0.534 0.527 0.163 O
0.466 0.027 0.337 O
0.466 0.473 0.837 O
0.534 0.973 0.663 O
```

***

## HoCdAu (meta-GGA r2SCAN)

Data for a relaxed structure of HoCdAu.

Values from the calculation:
As for the space-group type: P-62m. For the total energy, the calculation gives -317.3 eV for the cell shown. The formation energy is -0.733 eV per atom. The volume comes out at 22.255 A^3/atom.

Cell and atoms, written as POSCAR:
```
HoCdAu
1.0
-2.800 2.199 -6.788
-3.685 -5.303 4.130
-2.082 2.830 1.776
Ho Cd Au
3 3 3
direct
0.594 0.000 0.000 Ho
0.000 0.594 0.000 Ho
0.406 0.406 0.000 Ho
0.260 0.000 0.500 Cd
0.000 0.260 0.500 Cd
0.740 0.740 0.500 Cd
0.333 0.667 0.500 Au
0.667 0.333 0.500 Au
0.000 0.000 0.000 Au
```

***

## MgH2Cl2O (meta-GGA r2SCAN)

Data for a relaxed structure of MgH2Cl2O.

Values from the calculation:
As for the space-group type: Pnma. For the total energy, the calculation gives -156.0 eV for the cell shown. The formation energy is -1.609 eV per atom. The volume comes out at 15.263 A^3/atom.

Cell and atoms, written as POSCAR:
```
MgH2Cl2O
1.0
3.644 0.000 0.000
0.000 8.860 0.000
0.000 0.000 11.345
Mg H Cl O
4 8 8 4
direct
0.250 0.184 0.982 Mg
0.250 0.684 0.518 Mg
0.750 0.816 0.018 Mg
0.750 0.316 0.482 Mg
0.250 0.445 0.858 H
0.750 0.555 0.142 H
0.250 0.945 0.642 H
0.750 0.055 0.358 H
0.250 0.309 0.768 H
0.750 0.191 0.268 H
0.250 0.809 0.732 H
0.750 0.691 0.232 H
0.750 0.810 0.406 Cl
0.250 0.690 0.906 Cl
0.750 0.310 0.094 Cl
0.250 0.190 0.594 Cl
0.250 0.465 0.375 Cl
0.750 0.535 0.625 Cl
0.250 0.965 0.125 Cl
0.750 0.035 0.875 Cl
0.250 0.336 0.851 O
0.750 0.664 0.149 O
0.250 0.836 0.649 O
0.750 0.164 0.351 O
```

***

## Cs (meta-GGA r2SCAN)

Data for a relaxed structure of Cs.

Values from the calculation:
As for the space-group type: Cmce. For the total energy, the calculation gives -200.9 eV for the cell shown. The formation energy is 0.000 eV per atom. The energy above the most stable polymorph in this dataset comes out at 0.000 eV/atom. The volume comes out at 122.888 A^3/atom.

Cell and atoms, written as POSCAR:
```
Cs
1.0
-8.521 -2.106 2.842
2.938 -8.340 -2.633
4.095 -1.972 10.817
Cs
8
direct
0.750 0.750 0.249 Cs
0.253 0.747 0.000 Cs
0.753 0.247 0.500 Cs
0.250 0.250 0.751 Cs
0.750 0.750 0.749 Cs
0.747 0.253 0.000 Cs
0.250 0.250 0.251 Cs
0.247 0.753 0.500 Cs
```

***

## Ho2InAg (meta-GGA r2SCAN)

Data for a relaxed structure of Ho2InAg.

Values from the calculation:
As for the space-group type: Fm-3m. For the total energy, the calculation gives -111.6 eV for the cell shown. The formation energy is -0.485 eV per atom. The energy above the most stable polymorph in this dataset comes out at 0.000 eV/atom. The volume comes out at 24.793 A^3/atom.

Cell and atoms, written as POSCAR:
```
Ho2InAg
1.0
-2.767 -0.238 4.391
-0.078 4.057 3.245
-4.321 2.840 0.504
Ho In Ag
2 1 1
direct
0.000 0.000 0.000 Ho
0.500 0.500 0.500 Ho
0.750 0.750 0.750 In
0.250 0.250 0.250 Ag
```

***

## CdAg (meta-GGA r2SCAN)

Data for a relaxed structure of CdAg.

Values from the calculation:
As for the space-group type: Cmmm. For the total energy, the calculation gives -41.5 eV for the cell shown. The formation energy is -0.023 eV per atom. The volume comes out at 18.925 A^3/atom.

Cell and atoms, written as POSCAR:
```
CdAg
1.0
-0.025 1.662 -2.412
-0.155 1.694 2.385
4.685 0.253 0.125
Cd Ag
1 1
direct
0.500 0.500 0.500 Cd
0.000 0.000 0.000 Ag
```

***

## VCrO3 (meta-GGA r2SCAN)

Data for a relaxed structure of VCrO3.

Values from the calculation:
As for the space-group type: P-1. For the total energy, the calculation gives -238.6 eV for the cell shown. The formation energy is -2.514 eV per atom. The volume comes out at 9.949 A^3/atom.

Cell and atoms, written as POSCAR:
```
VCrO3
1.0
5.016 -0.004 0.008
-2.502 1.452 4.562
2.521 -7.240 4.567
V Cr O
4 4 12
direct
0.147 0.869 0.579 V
0.348 0.876 0.177 V
0.652 0.624 0.323 V
0.853 0.631 0.921 V
0.152 0.380 0.073 Cr
0.351 0.372 0.673 Cr
0.649 0.128 0.827 Cr
0.848 0.120 0.427 Cr
0.055 0.522 0.722 O
0.058 0.033 0.222 O
0.446 0.876 0.377 O
0.554 0.624 0.123 O
0.251 0.779 0.973 O
0.249 0.276 0.473 O
0.749 0.721 0.527 O
0.750 0.224 0.027 O
0.445 0.375 0.873 O
0.555 0.125 0.627 O
0.945 0.977 0.778 O
0.943 0.467 0.278 O
```

***

## LuInPt (meta-GGA r2SCAN)

Data for a relaxed structure of LuInPt.

Values from the calculation:
As for the space-group type: P-62m. For the total energy, the calculation gives -346.6 eV for the cell shown. The formation energy is -1.128 eV per atom. The volume comes out at 20.703 A^3/atom.

Cell and atoms, written as POSCAR:
```
LuInPt
1.0
7.557 0.000 0.000
-3.778 6.544 0.000
0.000 0.000 3.768
Lu In Pt
3 3 3
direct
0.000 0.595 0.500 Lu
0.595 0.000 0.500 Lu
0.405 0.405 0.500 Lu
0.000 0.263 0.000 In
0.263 0.000 0.000 In
0.737 0.737 0.000 In
0.000 0.000 0.500 Pt
0.667 0.333 0.000 Pt
0.333 0.667 0.000 Pt
```

***

## Sc2Si2Ru (meta-GGA r2SCAN)

Data for a relaxed structure of Sc2Si2Ru.

Values from the calculation:
As for the space-group type: C2/m. For the total energy, the calculation gives -140.8 eV for the cell shown. The formation energy is -0.926 eV per atom. The volume comes out at 17.202 A^3/atom.

Cell and atoms, written as POSCAR:
```
Sc2Si2Ru
1.0
3.964 0.000 0.962
1.901 5.023 0.813
0.003 -0.016 8.638
Sc Si Ru
4 4 2
direct
0.818 0.257 0.108 Sc
0.004 0.668 0.324 Sc
0.182 0.743 0.892 Sc
0.996 0.332 0.676 Sc
0.489 0.144 0.878 Si
0.360 0.716 0.564 Si
0.511 0.856 0.122 Si
0.640 0.284 0.436 Si
0.730 0.911 0.629 Ru
0.270 0.089 0.371 Ru
```

***

## Ho6InCo2 (meta-GGA r2SCAN)

Data for a relaxed structure of Ho6InCo2.

Values from the calculation:
As for the space-group type: Immm. For the total energy, the calculation gives -497.5 eV for the cell shown. The formation energy is -0.266 eV per atom. The volume comes out at 24.708 A^3/atom.

Cell and atoms, written as POSCAR:
```
Ho6InCo2
1.0
4.049 -5.605 -4.650
3.395 -0.192 7.607
-8.118 -1.863 0.255
Ho In Co
12 2 4
direct
0.316 0.616 0.300 Ho
0.684 0.384 0.700 Ho
0.316 0.015 0.700 Ho
0.684 0.985 0.300 Ho
0.186 0.290 0.476 Ho
0.814 0.710 0.524 Ho
0.186 0.710 0.897 Ho
0.814 0.290 0.103 Ho
0.442 0.229 0.213 Ho
0.558 0.771 0.787 Ho
0.015 0.229 0.787 Ho
0.985 0.771 0.213 Ho
0.500 0.500 0.000 In
0.000 0.000 0.000 In
0.110 0.610 0.500 Co
0.890 0.390 0.500 Co
0.383 0.000 0.383 Co
0.617 0.000 0.617 Co
```